Record 1
A plane-wave DFT calculation with GGA+U was carried out for a geometry-optimized Na5Fe11O16 structure.

## Properties
**Total magnetic moment**: 49.0 μB/cell
**ΔH_f (0 K)**: -1656 meV/atom
**Excess energy over the best structure of this formula in the dataset**: 0 meV/atom

a = 6.2022 Å, b = 6.2022 Å, c = 10.9561 Å
α = 74.24°, β = 74.24°, γ = 59.93°
Atoms (fractional coordinates):
Na 0.8119 0.3154 0.0597
Na 0.3154 0.8119 0.0597
Na 0.8117 0.3144 0.5664
Na 0.8119 0.8119 0.0636
Na 0.3144 0.8117 0.5664
Fe 0.0639 0.0639 0.3151
Fe 0.3160 0.3160 0.0581
Fe 0.5649 0.0593 0.8141
Fe 0.0631 0.5664 0.3139
Fe 0.5664 0.0631 0.3139
Fe 0.8117 0.8117 0.5673
Fe 0.5646 0.5646 0.3135
Fe 0.0610 0.0610 0.8146
Fe 0.5626 0.5626 0.8101
Fe 0.3137 0.3137 0.5670
Fe 0.0593 0.5649 0.8141
O 0.9574 0.4166 0.2082
O 0.6981 0.1679 0.4307
O 0.1982 0.1982 0.9196
O 0.9328 0.9328 0.2132
O 0.7018 0.7018 0.4177
O 0.4222 0.4222 0.7001
O 0.4267 0.4267 0.2090
O 0.2026 0.2026 0.4248
O 0.4456 0.9524 0.6925
O 0.4166 0.9574 0.2082
O 0.9524 0.4456 0.6925
O 0.6695 0.1911 0.9254
O 0.1911 0.6695 0.9254
O 0.1679 0.6981 0.4307
O 0.9268 0.9268 0.7061
O 0.6979 0.6979 0.9138



Record 2
A plane-wave DFT calculation with GGA+U was carried out for a geometry-optimized Na3Fe5O9 structure.

## Properties
**ΔH_f (0 K)**: -1766 meV/atom

a = 9.1833 Å, b = 9.1833 Å, c = 5.4124 Å
α = 89.54°, β = 89.54°, γ = 84.00°
Atoms (fractional coordinates):
Na 0.6812 0.8372 0.2640
Na 0.1628 0.3188 0.2360
Na 0.3188 0.1628 0.7360
Na 0.8372 0.6812 0.7640
Na 0.4088 0.5912 0.2500
Na 0.5912 0.4088 0.7500
Fe 0.5653 0.2027 0.2850
Fe 0.7973 0.4347 0.2150
Fe 0.4347 0.7973 0.7150
Fe 0.2027 0.5653 0.7850
Fe 0.3002 0.9796 0.2179
Fe 0.0204 0.6998 0.2821
Fe 0.6998 0.0204 0.7821
Fe 0.9796 0.3002 0.7179
Fe 0.9361 0.0639 0.2500
Fe 0.0639 0.9361 0.7500
O 0.7231 0.0851 0.1194
O 0.9149 0.2769 0.3806
O 0.2769 0.9149 0.8806
O 0.0851 0.7231 0.6194
O 0.4325 0.8347 0.3677
O 0.1653 0.5675 0.1323
O 0.5675 0.1653 0.6323
O 0.8347 0.4325 0.8677
O 0.3780 0.1639 0.1749
O 0.8361 0.6220 0.3251
O 0.6220 0.8361 0.8251
O 0.1639 0.3780 0.6749
O 0.1340 0.0295 0.4291
O 0.9705 0.8660 0.0709
O 0.8660 0.9705 0.5709
O 0.0295 0.1340 0.9291
O 0.5953 0.4047 0.2500
O 0.4047 0.5953 0.7500



Record 3
A plane-wave DFT calculation with GGA+U was carried out for a geometry-optimized Na4Fe2O5 structure.

## Properties
**Total magnetic moment**: 40.0 μB/cell
**ΔH_f (0 K)**: -1706 meV/atom

a = 5.7727 Å, b = 9.2543 Å, c = 13.1265 Å
α = 62.07°, β = 90.00°, γ = 90.00°
Atoms (fractional coordinates):
Na 0.9267 0.1945 0.9671
Na 0.4267 0.8055 0.5329
Na 0.1142 0.6063 0.8780
Na 0.5733 0.1945 0.4671
Na 0.4107 0.2976 0.0378
Na 0.9107 0.7024 0.4622
Na 0.5893 0.7024 0.9622
Na 0.0893 0.2976 0.5378
Na 0.6194 0.8703 0.1332
Na 0.1194 0.1297 0.3668
Na 0.3806 0.1297 0.8668
Na 0.8806 0.8703 0.6332
Na 0.3858 0.6063 0.3780
Na 0.8858 0.3937 0.1220
Na 0.6142 0.3937 0.6220
Na 0.0733 0.8055 0.0329
Fe 0.6581 0.0441 0.2966
Fe 0.3419 0.9559 0.7034
Fe 0.8419 0.0441 0.7966
Fe 0.6146 0.5426 0.8005
Fe 0.1146 0.4574 0.6995
Fe 0.3854 0.4574 0.1995
Fe 0.8854 0.5426 0.3005
Fe 0.1581 0.9559 0.2034
O 0.9333 0.1121 0.2003
O 0.3295 0.4195 0.8233
O 0.1705 0.4195 0.3233
O 0.6705 0.5805 0.1767
O 0.2597 0.0314 0.0530
O 0.7597 0.9686 0.4470
O 0.7403 0.9686 0.9470
O 0.2403 0.0314 0.5530
O 0.7614 0.4466 0.9427
O 0.2614 0.5534 0.5573
O 0.2386 0.5534 0.0573
O 0.7386 0.4466 0.4427
O 0.9813 0.7590 0.2612
O 0.8295 0.5805 0.6767
O 0.4813 0.2410 0.2388
O 0.0187 0.2410 0.7388
O 0.4333 0.8879 0.2997
O 0.0667 0.8879 0.7997
O 0.5667 0.1121 0.7003
O 0.5187 0.7590 0.7612